(1)
Entry from the Materials Project: an optimized crystal structure of CaAl2Si6H4O16 (PBE).

a b c (Å): 6.8978 14.0317 10.1773
angles (deg): 90.00 111.61 90.00
Sites, in units of the cell vectors:
Ca  0.0000  0.2122  0.0000
Ca  0.0000  0.7878  0.5000
Al  0.0648  0.0072  0.4442
Al  0.0648  0.9928  0.9442
Al  0.6690  0.3564  0.7935
Al  0.6690  0.6436  0.2935
Si  0.0393  0.4728  0.0055
Si  0.0393  0.5272  0.5055
Si  0.3252  0.5001  0.3239
Si  0.3252  0.4999  0.8239
Si  0.3510  0.0391  0.2525
Si  0.3510  0.9609  0.7525
Si  0.6519  0.1238  0.7486
Si  0.6519  0.8762  0.2486
Si  0.7032  0.3742  0.4842
Si  0.7032  0.6258  0.9842
Si  0.7227  0.1501  0.4610
Si  0.7227  0.8499  0.9610
H  0.0923  0.2559  0.2823
H  0.0923  0.7441  0.7823
H  0.1629  0.2328  0.8046
H  0.1629  0.7672  0.3046
H  0.3848  0.2932  0.1174
H  0.3848  0.7068  0.6174
H  0.7061  0.1438  0.0871
H  0.7061  0.8562  0.5871
O  0.1375  0.4677  0.1770
O  0.1375  0.5323  0.6770
O  0.2085  0.0419  0.3459
O  0.2085  0.9581  0.8459
O  0.2095  0.0707  0.0886
O  0.2095  0.9293  0.5886
O  0.2256  0.4809  0.9448
O  0.2256  0.5191  0.4448
O  0.4481  0.0686  0.7555
O  0.4479  0.4059  0.8076
O  0.4479  0.5941  0.3076
O  0.4481  0.9314  0.2555
O  0.4775  0.4069  0.3691
O  0.4775  0.5931  0.8691
O  0.5477  0.1135  0.3104
O  0.5477  0.8865  0.8104
O  0.6351  0.1237  0.5859
O  0.6351  0.8763  0.0859
O  0.6689  0.2307  0.8159
O  0.6689  0.7693  0.3159
O  0.7144  0.3870  0.6433
O  0.7144  0.6130  0.1433
O  0.7399  0.2645  0.4469
O  0.7399  0.7355  0.9469
O  0.8729  0.0794  0.8559
O  0.8729  0.9206  0.3559
O  0.8825  0.4369  0.4532
O  0.8825  0.5631  0.9532
O  0.9085  0.3731  0.9467
O  0.9085  0.6269  0.4467
O  0.9460  0.1017  0.4933
O  0.9460  0.8983  0.9933

The calculation puts the formation enthalpy at 0 K at -2530 meV per atom. As for the symmetry: No. 7. The calculation puts the total magnetization at 4.001 μB per formula unit.

(2)
Entry from the Materials Project: an optimized crystal structure of TmPaRu2 (PBE).

a b c (Å): 6.8150 6.8150 6.8150
angles (deg): 90.00 90.00 90.00
Sites, in units of the cell vectors:
Tm  0.0000  0.0000  0.0000
Tm  0.0000  0.5000  0.5000
Tm  0.5000  0.0000  0.5000
Tm  0.5000  0.5000  0.0000
Pa  0.0000  0.0000  0.5000
Pa  0.0000  0.5000  0.0000
Pa  0.5000  0.0000  0.0000
Pa  0.5000  0.5000  0.5000
Ru  0.2500  0.2500  0.2500
Ru  0.2500  0.2500  0.7500
Ru  0.2500  0.7500  0.2500
Ru  0.2500  0.7500  0.7500
Ru  0.7500  0.2500  0.2500
Ru  0.7500  0.2500  0.7500
Ru  0.7500  0.7500  0.2500
Ru  0.7500  0.7500  0.7500

The calculation puts the formation enthalpy at 0 K at -463 meV per atom. As for the symmetry: No. 225.

(3)
Entry from the Materials Project: an optimized crystal structure of Mg3Fe2N4 (PBE).

a b c (Å): 6.1227 6.1227 5.1302
angles (deg): 90.34 90.34 76.53
Sites, in units of the cell vectors:
Mg  0.1041  0.8959  0.7500
Mg  0.2558  0.5141  0.4525
Mg  0.4859  0.7442  0.0475
Mg  0.5141  0.2558  0.9525
Mg  0.7442  0.4859  0.5475
Mg  0.8959  0.1041  0.2500
Fe  0.0757  0.3290  0.8932
Fe  0.3290  0.0757  0.3932
Fe  0.6710  0.9243  0.6068
Fe  0.9243  0.6710  0.1068
N  0.0741  0.2402  0.5538
N  0.2242  0.5633  0.9820
N  0.2402  0.0741  0.0538
N  0.4367  0.7758  0.5180
N  0.5633  0.2242  0.4820
N  0.7598  0.9259  0.9462
N  0.7758  0.4367  0.0180
N  0.9259  0.7598  0.4462

The calculation puts the formation enthalpy at 0 K at -485 meV per atom. As for the symmetry: No. 15. The calculation puts the total magnetization at 0.001 μB per formula unit.

(4)
Entry from the Materials Project: an optimized crystal structure of Cs2PH3SeO8 (PBE).

a b c (Å): 12.4830 8.0314 10.3649
angles (deg): 90.00 90.82 90.00
Sites, in units of the cell vectors:
Cs  0.0540  0.1649  0.3350
Cs  0.0540  0.3351  0.8350
Cs  0.4384  0.6616  0.6746
Cs  0.4384  0.8384  0.1746
Cs  0.5616  0.1616  0.8254
Cs  0.5616  0.3384  0.3254
Cs  0.9460  0.6649  0.1650
Cs  0.9460  0.8351  0.6650
P  0.1748  0.6679  0.4259
P  0.1748  0.8321  0.9259
P  0.8252  0.1679  0.0741
P  0.8252  0.3321  0.5741
H  0.1893  0.0503  0.0623
H  0.1893  0.4497  0.5623
H  0.2424  0.5052  0.2658
H  0.2424  0.9948  0.7658
H  0.2976  0.6232  0.9300
H  0.2976  0.8768  0.4300
H  0.7024  0.1232  0.5700
H  0.7024  0.3768  0.0700
H  0.7576  0.0052  0.2342
H  0.7576  0.4948  0.7342
H  0.8107  0.5503  0.4377
H  0.8107  0.9497  0.9377
Se  0.3236  0.1663  0.5679
Se  0.3236  0.3337  0.0679
Se  0.6764  0.6663  0.9321
Se  0.6764  0.8337  0.4321
O  0.0853  0.7090  0.9119
O  0.0853  0.7910  0.4119
O  0.1670  0.5734  0.5599
O  0.1670  0.9266  0.0599
O  0.1725  0.5295  0.3179
O  0.1725  0.9705  0.8179
O  0.2042  0.2387  0.0826
O  0.2042  0.2613  0.5826
O  0.2905  0.7480  0.4210
O  0.2905  0.7520  0.9210
O  0.3239  0.0603  0.4275
O  0.3239  0.4397  0.9275
O  0.3400  0.0291  0.6905
O  0.3400  0.4709  0.1905
O  0.4231  0.1969  0.0725
O  0.4231  0.3031  0.5725
O  0.5769  0.6969  0.4275
O  0.5769  0.8031  0.9275
O  0.6600  0.5291  0.8095
O  0.6600  0.9709  0.3095
O  0.6761  0.5603  0.0725
O  0.6761  0.9397  0.5725
O  0.7095  0.2480  0.0790
O  0.7095  0.2520  0.5790
O  0.7958  0.7387  0.4174
O  0.7958  0.7613  0.9174
O  0.8275  0.0295  0.1821
O  0.8275  0.4705  0.6821
O  0.8330  0.0734  0.9401
O  0.8330  0.4266  0.4401
O  0.9147  0.2090  0.5881
O  0.9147  0.2910  0.0881

The calculation puts the formation enthalpy at 0 K at -1880 meV per atom. As for the symmetry: No. 14. The calculation puts the total magnetization at 0.040 μB per formula unit.

(5)
Entry from the Materials Project: an optimized crystal structure of PmY (PBE).

a b c (Å): 3.6660 3.6660 5.8257
angles (deg): 90.00 90.00 120.00
Sites, in units of the cell vectors:
Pm  0.0000  0.0000  0.0000
Y  0.6667  0.3333  0.5000

The calculation puts the formation enthalpy at 0 K at 21 meV per atom. As for the symmetry: No. 187.

(6)
Entry from the Materials Project: an optimized crystal structure of Y3Ni2 (PBE).

a b c (Å): 7.0710 7.0710 36.6908
angles (deg): 90.00 90.00 90.00
Sites, in units of the cell vectors:
Y  0.0111  0.1637  0.0893
Y  0.0151  0.2089  0.6574
Y  0.0347  0.0347  0.5000
Y  0.0606  0.3080  0.2644
Y  0.1431  0.6935  0.6742
Y  0.1598  0.3357  0.8186
Y  0.1637  0.0111  0.9107
Y  0.1643  0.6598  0.0686
Y  0.1816  0.8184  0.2500
Y  0.1920  0.5606  0.5144
Y  0.1935  0.3569  0.4242
Y  0.2089  0.0151  0.3426
Y  0.2911  0.5151  0.9074
Y  0.3065  0.8569  0.8258
Y  0.3080  0.0606  0.7356
Y  0.3184  0.3184  0.0000
Y  0.3357  0.1598  0.1814
Y  0.3363  0.5111  0.3393
Y  0.3402  0.8357  0.4314
Y  0.3569  0.1935  0.5758
Y  0.4394  0.8080  0.9856
Y  0.4653  0.5347  0.7500
Y  0.4849  0.7089  0.5926
Y  0.4889  0.6637  0.1607
Y  0.5111  0.3363  0.6607
Y  0.5151  0.2911  0.0926
Y  0.5347  0.4653  0.2500
Y  0.5606  0.1920  0.4856
Y  0.6431  0.8065  0.0758
Y  0.6598  0.1643  0.9314
Y  0.6637  0.4889  0.8393
Y  0.6643  0.8402  0.6814
Y  0.6816  0.6816  0.5000
Y  0.6920  0.9394  0.2356
Y  0.6935  0.1431  0.3258
Y  0.7089  0.4849  0.4074
Y  0.7911  0.9849  0.8426
Y  0.8065  0.6431  0.9242
Y  0.8080  0.4394  0.0144
Y  0.8184  0.1816  0.7500
Y  0.8357  0.3402  0.5686
Y  0.8363  0.9889  0.4107
Y  0.8402  0.6643  0.3186
Y  0.8569  0.3065  0.1742
Y  0.9394  0.6920  0.7644
Y  0.9653  0.9653  0.0000
Y  0.9849  0.7911  0.1574
Y  0.9889  0.8363  0.5893
Ni  0.0114  0.3092  0.9513
Ni  0.0117  0.6535  0.8559
Ni  0.0548  0.6809  0.3840
Ni  0.1029  0.6258  0.9763
Ni  0.1258  0.3971  0.7263
Ni  0.1535  0.4883  0.6059
Ni  0.1809  0.4452  0.1340
Ni  0.1908  0.5114  0.2013
Ni  0.3092  0.0114  0.0487
Ni  0.3191  0.9452  0.1160
Ni  0.3465  0.9883  0.6441
Ni  0.3742  0.8971  0.5237
Ni  0.3971  0.1258  0.2737
Ni  0.4452  0.1809  0.8660
Ni  0.4883  0.1535  0.3941
Ni  0.4886  0.8092  0.2987
Ni  0.5114  0.1908  0.7987
Ni  0.5117  0.8465  0.8941
Ni  0.5548  0.8191  0.3660
Ni  0.6029  0.8742  0.7737
Ni  0.6258  0.1029  0.0237
Ni  0.6535  0.0117  0.1441
Ni  0.6809  0.0548  0.6160
Ni  0.6908  0.9886  0.5487
Ni  0.8092  0.4886  0.7013
Ni  0.8191  0.5548  0.6340
Ni  0.8465  0.5117  0.1059
Ni  0.8742  0.6029  0.2263
Ni  0.8971  0.3742  0.4763
Ni  0.9452  0.3191  0.8840
Ni  0.9883  0.3465  0.3559
Ni  0.9886  0.6908  0.4513

The calculation puts the formation enthalpy at 0 K at -356 meV per atom. As for the symmetry: No. 92. The calculation puts the total magnetization at 0.001 μB per formula unit.

- Look up the formation enthalpy at 0 K of the first one.
  -2530 meV per atom

Please write out number 3 again, unchanged.
Entry from the Materials Project: an optimized crystal structure of Mg3Fe2N4 (PBE).

a b c (Å): 6.1227 6.1227 5.1302
angles (deg): 90.34 90.34 76.53
Sites, in units of the cell vectors:
Mg  0.1041  0.8959  0.7500
Mg  0.2558  0.5141  0.4525
Mg  0.4859  0.7442  0.0475
Mg  0.5141  0.2558  0.9525
Mg  0.7442  0.4859  0.5475
Mg  0.8959  0.1041  0.2500
Fe  0.0757  0.3290  0.8932
Fe  0.3290  0.0757  0.3932
Fe  0.6710  0.9243  0.6068
Fe  0.9243  0.6710  0.1068
N  0.0741  0.2402  0.5538
N  0.2242  0.5633  0.9820
N  0.2402  0.0741  0.0538
N  0.4367  0.7758  0.5180
N  0.5633  0.2242  0.4820
N  0.7598  0.9259  0.9462
N  0.7758  0.4367  0.0180
N  0.9259  0.7598  0.4462

The calculation puts the formation enthalpy at 0 K at -485 meV per atom. As for the symmetry: No. 15. The calculation puts the total magnetization at 0.001 μB per formula unit.

- The lowest formation enthalpy at 0 K belongs to which entry?
  CaAl2Si6H4O16

- Which of these has the highest formation enthalpy at 0 K?
  PmY